Record 1
r2SCAN Ba3IrN3, optimized geometry; SG = P6_3/m
1.0
8.179 0.000 0.000
-4.090 7.084 0.000
0.000 0.000 5.627
Ba Ir N
6 2 6
Direct
0.099 0.362 0.250 Ba
0.263 0.901 0.250 Ba
0.362 0.263 0.750 Ba
0.638 0.737 0.250 Ba
0.737 0.099 0.750 Ba
0.901 0.638 0.750 Ba
0.333 0.667 0.750 Ir
0.667 0.333 0.250 Ir
0.114 0.429 0.750 N
0.315 0.886 0.750 N
0.429 0.315 0.250 N
0.571 0.685 0.750 N
0.685 0.114 0.250 N
0.886 0.571 0.250 N

Record 2
r2SCAN Ba7Ir6O19, optimized geometry; SG = C2/m
1.0
7.418 -2.894 0.000
7.418 2.894 0.000
-1.803 0.000 10.986
Ba Ir O
7 6 19
Direct
0.000 0.000 0.000 Ba
0.074 0.074 0.662 Ba
0.301 0.301 0.909 Ba
0.356 0.356 0.554 Ba
0.644 0.644 0.446 Ba
0.699 0.699 0.091 Ba
0.926 0.926 0.338 Ba
0.156 0.156 0.281 Ir
0.318 0.318 0.233 Ir
0.477 0.477 0.177 Ir
0.523 0.523 0.823 Ir
0.682 0.682 0.767 Ir
0.844 0.844 0.719 Ir
0.028 0.488 0.336 O
0.105 0.105 0.437 O
0.140 0.609 0.131 O
0.180 0.676 0.791 O
0.202 0.202 0.113 O
0.324 0.820 0.209 O
0.391 0.860 0.869 O
0.444 0.444 0.350 O
0.488 0.028 0.336 O
0.500 0.500 0.000 O
0.512 0.972 0.664 O
0.556 0.556 0.650 O
0.609 0.140 0.131 O
0.676 0.180 0.791 O
0.798 0.798 0.887 O
0.820 0.324 0.209 O
0.860 0.391 0.869 O
0.895 0.895 0.563 O
0.972 0.512 0.664 O

Record 3
r2SCAN Ba2PrIrO6, optimized geometry; SG = Fm-3m
1.0
0.000 4.288 4.288
4.288 0.000 4.288
4.288 4.288 0.000
Ba Pr Ir O
2 1 1 6
Direct
0.250 0.250 0.250 Ba
0.750 0.750 0.750 Ba
0.000 0.000 0.000 Pr
0.500 0.500 0.500 Ir
0.270 0.270 0.730 O
0.270 0.730 0.270 O
0.270 0.730 0.730 O
0.730 0.270 0.270 O
0.730 0.270 0.730 O
0.730 0.730 0.270 O

Record 4
r2SCAN Ba3SmIrRuO9, optimized geometry; SG = P6_3mc
1.0
5.950 0.000 0.000
-2.975 5.153 0.000
0.000 0.000 14.723
Ba Sm Ir Ru O
6 2 2 2 18
Direct
0.000 0.000 0.000 Ba
0.000 0.000 0.500 Ba
0.333 0.667 0.149 Ba
0.333 0.667 0.843 Ba
0.667 0.333 0.343 Ba
0.667 0.333 0.649 Ba
0.000 0.000 0.249 Sm
0.000 0.000 0.749 Sm
0.333 0.667 0.584 Ir
0.667 0.333 0.084 Ir
0.333 0.667 0.414 Ru
0.667 0.333 0.914 Ru
0.020 0.510 0.497 O
0.178 0.355 0.662 O
0.178 0.822 0.662 O
0.179 0.358 0.341 O
0.179 0.821 0.341 O
0.355 0.178 0.162 O
0.358 0.179 0.841 O
0.490 0.510 0.497 O
0.490 0.980 0.497 O
0.510 0.020 0.997 O
0.510 0.490 0.997 O
0.642 0.821 0.341 O
0.645 0.822 0.662 O
0.821 0.179 0.841 O
0.821 0.642 0.841 O
0.822 0.178 0.162 O
0.822 0.645 0.162 O
0.980 0.490 0.997 O

Record 5
r2SCAN K2Ba7Si16O40, optimized geometry; SG = C2/m
1.0
16.102 -3.872 0.000
16.102 3.872 0.000
-1.498 0.000 8.097
K Ba Si O
2 7 16 40
Direct
0.040 0.040 0.274 K
0.960 0.960 0.726 K
0.149 0.149 0.061 Ba
0.270 0.270 0.900 Ba
0.386 0.386 0.694 Ba
0.500 0.500 0.500 Ba
0.614 0.614 0.306 Ba
0.730 0.730 0.100 Ba
0.851 0.851 0.939 Ba
0.008 0.591 0.566 Si
0.126 0.725 0.345 Si
0.131 0.535 0.246 Si
0.251 0.657 0.024 Si
0.275 0.874 0.655 Si
0.343 0.749 0.976 Si
0.409 0.992 0.434 Si
0.465 0.869 0.754 Si
0.535 0.131 0.246 Si
0.591 0.008 0.566 Si
0.657 0.251 0.024 Si
0.725 0.126 0.345 Si
0.749 0.343 0.976 Si
0.869 0.465 0.754 Si
0.874 0.275 0.655 Si
0.992 0.409 0.434 Si
0.000 0.500 0.500 O
0.011 0.582 0.115 O
0.058 0.058 0.640 O
0.075 0.679 0.242 O
0.100 0.534 0.745 O
0.124 0.529 0.438 O
0.124 0.707 0.911 O
0.194 0.194 0.441 O
0.214 0.786 0.000 O
0.227 0.640 0.519 O
0.248 0.663 0.225 O
0.293 0.876 0.089 O
0.321 0.925 0.758 O
0.337 0.752 0.775 O
0.340 0.340 0.198 O
0.360 0.773 0.481 O
0.418 0.989 0.885 O
0.455 0.455 0.970 O
0.466 0.900 0.255 O
0.471 0.876 0.562 O
0.500 0.000 0.500 O
0.529 0.124 0.438 O
0.534 0.100 0.745 O
0.545 0.545 0.030 O
0.582 0.011 0.115 O
0.640 0.227 0.519 O
0.660 0.660 0.802 O
0.663 0.248 0.225 O
0.679 0.075 0.242 O
0.707 0.124 0.911 O
0.752 0.337 0.775 O
0.773 0.360 0.481 O
0.786 0.214 0.000 O
0.806 0.806 0.559 O
0.876 0.293 0.089 O
0.876 0.471 0.562 O
0.900 0.466 0.255 O
0.925 0.321 0.758 O
0.942 0.942 0.360 O
0.989 0.418 0.885 O

Record 6
r2SCAN BaLa3Mn4O12, optimized geometry; SG = Im-3m
1.0
-3.899 3.899 3.899
3.899 -3.899 3.899
3.899 3.899 -3.899
Ba La Mn O
1 3 4 12
Direct
0.000 0.000 0.000 Ba
0.000 0.500 0.500 La
0.500 0.000 0.500 La
0.500 0.500 0.000 La
0.000 0.000 0.500 Mn
0.000 0.500 0.000 Mn
0.500 0.000 0.000 Mn
0.500 0.500 0.500 Mn
0.000 0.257 0.743 O
0.000 0.743 0.257 O
0.257 0.000 0.743 O
0.257 0.257 0.513 O
0.257 0.513 0.257 O
0.257 0.743 0.000 O
0.487 0.743 0.743 O
0.513 0.257 0.257 O
0.743 0.000 0.257 O
0.743 0.257 0.000 O
0.743 0.487 0.743 O
0.743 0.743 0.487 O

Record 7
r2SCAN BaLa2O4, optimized geometry; energy relative to the lowest polymorph listed for this composition = 0.17 eV/f.u.; SG = I4_1/amd
1.0
-3.706 3.706 5.268
3.706 -3.706 5.268
3.706 3.706 -5.268
Ba La O
2 4 8
Direct
0.375 0.625 0.750 Ba
0.625 0.375 0.250 Ba
0.000 0.000 0.000 La
0.000 0.000 0.500 La
0.000 0.500 0.000 La
0.500 0.000 0.500 La
0.195 0.231 0.964 O
0.231 0.195 0.464 O
0.231 0.767 0.036 O
0.233 0.769 0.464 O
0.767 0.231 0.536 O
0.769 0.233 0.964 O
0.769 0.805 0.536 O
0.805 0.769 0.036 O

Record 8
r2SCAN BaLa2O4, optimized geometry; energy relative to the lowest polymorph listed for this composition = 0.00 eV/f.u.; SG = Pnma
1.0
10.745 0.000 0.000
0.000 3.701 0.000
0.000 0.000 12.665
Ba La O
4 8 16
Direct
0.250 0.250 0.147 Ba
0.250 0.750 0.647 Ba
0.750 0.250 0.353 Ba
0.750 0.750 0.853 Ba
0.075 0.250 0.886 La
0.082 0.250 0.388 La
0.418 0.750 0.888 La
0.425 0.750 0.386 La
0.575 0.250 0.614 La
0.582 0.250 0.112 La
0.918 0.750 0.612 La
0.925 0.750 0.114 La
0.013 0.750 0.783 O
0.069 0.250 0.577 O
0.125 0.750 0.017 O
0.213 0.750 0.323 O
0.287 0.250 0.823 O
0.375 0.250 0.517 O
0.431 0.750 0.077 O
0.487 0.250 0.283 O
0.513 0.750 0.717 O
0.569 0.250 0.923 O
0.625 0.750 0.483 O
0.713 0.750 0.177 O
0.787 0.250 0.677 O
0.875 0.250 0.983 O
0.931 0.750 0.423 O
0.987 0.250 0.217 O

Record 9
r2SCAN BaLa2Se4, optimized geometry; SG = I-42d
1.0
-4.670 4.670 4.636
4.670 -4.670 4.636
4.670 4.670 -4.636
Ba La Se
2 4 8
Direct
0.000 0.000 0.000 Ba
0.750 0.250 0.500 Ba
0.249 0.125 0.624 La
0.375 0.751 0.876 La
0.501 0.625 0.376 La
0.875 0.499 0.124 La
0.139 0.393 0.407 Se
0.143 0.389 0.907 Se
0.268 0.861 0.253 Se
0.482 0.235 0.093 Se
0.607 0.015 0.747 Se
0.611 0.518 0.753 Se
0.765 0.857 0.247 Se
0.985 0.732 0.593 Se

Record 10
r2SCAN BaLi4, optimized geometry; SG = P6_3/mmc
1.0
10.853 0.000 0.000
-5.427 9.399 0.000
0.000 0.000 8.897
Ba Li
6 24
Direct
0.057 0.528 0.250 Ba
0.472 0.528 0.250 Ba
0.472 0.943 0.250 Ba
0.528 0.057 0.750 Ba
0.528 0.472 0.750 Ba
0.943 0.472 0.750 Ba
0.000 0.000 0.000 Li
0.000 0.000 0.500 Li
0.100 0.199 0.250 Li
0.100 0.900 0.250 Li
0.164 0.327 0.567 Li
0.164 0.327 0.933 Li
0.164 0.836 0.567 Li
0.164 0.836 0.933 Li
0.199 0.100 0.750 Li
0.327 0.164 0.067 Li
0.327 0.164 0.433 Li
0.333 0.667 0.585 Li
0.333 0.667 0.915 Li
0.667 0.333 0.085 Li
0.667 0.333 0.415 Li
0.673 0.836 0.567 Li
0.673 0.836 0.933 Li
0.801 0.900 0.250 Li
0.836 0.164 0.067 Li
0.836 0.164 0.433 Li
0.836 0.673 0.067 Li
0.836 0.673 0.433 Li
0.900 0.100 0.750 Li
0.900 0.801 0.750 Li

Record 11
r2SCAN Ba4LiMo2N7, optimized geometry; SG = P2/c
1.0
10.417 0.000 0.000
0.000 6.496 0.000
-7.905 0.000 15.437
Ba Li Mo N
16 4 8 28
Direct
0.000 0.021 0.250 Ba
0.000 0.979 0.750 Ba
0.197 0.149 0.621 Ba
0.197 0.851 0.121 Ba
0.240 0.281 0.984 Ba
0.240 0.719 0.484 Ba
0.347 0.228 0.426 Ba
0.347 0.772 0.926 Ba
0.500 0.311 0.250 Ba
0.500 0.689 0.750 Ba
0.653 0.228 0.074 Ba
0.653 0.772 0.574 Ba
0.760 0.281 0.516 Ba
0.760 0.719 0.016 Ba
0.803 0.149 0.879 Ba
0.803 0.851 0.379 Ba
0.133 0.460 0.760 Li
0.133 0.540 0.260 Li
0.867 0.460 0.740 Li
0.867 0.540 0.240 Li
0.018 0.330 0.098 Mo
0.018 0.670 0.598 Mo
0.451 0.226 0.845 Mo
0.451 0.774 0.345 Mo
0.549 0.226 0.655 Mo
0.549 0.774 0.155 Mo
0.982 0.330 0.402 Mo
0.982 0.670 0.902 Mo
0.000 0.500 0.000 N
0.000 0.500 0.500 N
0.067 0.469 0.347 N
0.067 0.531 0.847 N
0.075 0.080 0.435 N
0.075 0.920 0.935 N
0.207 0.279 0.173 N
0.207 0.721 0.673 N
0.256 0.185 0.807 N
0.256 0.815 0.307 N
0.445 0.012 0.585 N
0.445 0.988 0.085 N
0.483 0.464 0.592 N
0.483 0.536 0.092 N
0.500 0.242 0.750 N
0.500 0.758 0.250 N
0.517 0.464 0.908 N
0.517 0.536 0.408 N
0.555 0.012 0.915 N
0.555 0.988 0.415 N
0.744 0.185 0.693 N
0.744 0.815 0.193 N
0.793 0.279 0.327 N
0.793 0.721 0.827 N
0.925 0.080 0.065 N
0.925 0.920 0.565 N
0.933 0.469 0.153 N
0.933 0.531 0.653 N

Record 12
r2SCAN Ba3LiOs2O9, optimized geometry; SG = P6_3/mmc
1.0
5.845 0.000 0.000
-2.923 5.062 0.000
0.000 0.000 14.090
Ba Li Os O
6 2 4 18
Direct
0.000 0.000 0.250 Ba
0.000 0.000 0.750 Ba
0.333 0.667 0.087 Ba
0.333 0.667 0.413 Ba
0.667 0.333 0.587 Ba
0.667 0.333 0.913 Ba
0.000 0.000 0.000 Li
0.000 0.000 0.500 Li
0.333 0.667 0.660 Os
0.333 0.667 0.840 Os
0.667 0.333 0.160 Os
0.667 0.333 0.340 Os
0.015 0.507 0.750 O
0.176 0.353 0.587 O
0.176 0.353 0.913 O
0.176 0.824 0.587 O
0.176 0.824 0.913 O
0.353 0.176 0.087 O
0.353 0.176 0.413 O
0.493 0.507 0.750 O
0.493 0.985 0.750 O
0.507 0.015 0.250 O
0.507 0.493 0.250 O
0.647 0.824 0.587 O
0.647 0.824 0.913 O
0.824 0.176 0.087 O
0.824 0.176 0.413 O
0.824 0.647 0.087 O
0.824 0.647 0.413 O
0.985 0.493 0.250 O

Listing total moment for the structures above in their given order: 0.00; 2.07; 2.00; 1.97; 0.00; 15.00; 0.00; 0.00; 0.00; 0.00; 0.00; 2.99 μB per formula unit.
Listing energy of formation for the structures above in their given order: -560; -1852; -2479; -2377; -3112; -2955; -3425; -3449; -2341; 19; -1020; -2138 meV per atom.
Listing final energy for the structures above in their given order: -23.309; -21.012; -19.538; -18.428; -11.986; -15.262; -19.122; -19.146; -22.803; -7.190; -17.051; -18.245 eV/atom.